# Ag2HgO2 | the Materials Project | PBE-GGA | relaxed
data_Ag2HgO2
_chemical_formula_sum 'Ag8 Hg4 O8'
_symmetry_space_group_name_H-M 'P 43 21 2'
_symmetry_Int_Tables_number 96
_cell_length_a 6.389
_cell_length_b 6.389
_cell_length_c 8.477
_cell_angle_alpha 90.00
_cell_angle_beta 90.00
_cell_angle_gamma 90.00
loop_
_symmetry_equiv_pos_as_xyz
'x,y,z'
'-y+1/2,x+1/2,z+3/4'
'-x,-y,z+1/2'
'y+1/2,-x+1/2,z+1/4'
'x+1/2,-y+1/2,-z+1/4'
'-y,-x,-z+1/2'
'-x+1/2,y+1/2,-z+3/4'
'y,x,-z'
loop_
_atom_site_label
_atom_site_type_symbol
_atom_site_fract_x
_atom_site_fract_y
_atom_site_fract_z
_atom_site_occupancy
Ag1 Ag 0.001 0.245 0.122 1
Hg1 Hg 0.218 0.218 0.500 1
O1 O 0.127 0.252 0.735 1
# - largest piezoelectric modulus (C/m2) = 0.036
# - uncorrected energy (eV per atom) = -3.36
# - calculated formation energy (eV/atom) = -0.4597